Density functional theory data (PBE-GGA) for crystalline Sr3TeO6 at its relaxed geometry.

Geometry as POSCAR:
```
Sr3TeO6
1.0
5.912 0.000 0.000
0.000 6.132 0.000
-5.908 0.000 8.479
Sr Te O
6 2 12
direct
0.000 0.000 0.000
0.000 0.500 0.500
0.260 0.048 0.746
0.260 0.452 0.246
0.740 0.548 0.754
0.740 0.952 0.254
0.500 0.000 0.500
0.500 0.500 0.000
0.182 0.048 0.282
0.182 0.452 0.782
0.274 0.677 0.043
0.274 0.823 0.543
0.395 0.238 0.065
0.395 0.262 0.565
0.605 0.738 0.435
0.605 0.762 0.935
0.726 0.177 0.457
0.726 0.323 0.957
0.818 0.548 0.218
0.818 0.952 0.718
```

=====

Density functional theory data (PBE-GGA) for crystalline SrTeO3 at its relaxed geometry.

Geometry as POSCAR:
```
SrTeO3
1.0
14.312 -2.991 0.000
14.312 2.991 0.000
-8.322 0.000 13.209
Sr Te O
12 12 36
direct
0.000 0.000 0.000
0.167 0.088 0.657
0.169 0.077 0.919
0.317 0.179 0.612
0.320 0.191 0.220
0.397 0.360 0.894
0.512 0.488 0.500
0.640 0.603 0.106
0.809 0.680 0.780
0.821 0.683 0.388
0.912 0.833 0.343
0.923 0.831 0.081
0.015 0.943 0.647
0.057 0.985 0.353
0.209 0.084 0.278
0.319 0.206 0.917
0.373 0.327 0.497
0.434 0.340 0.223
0.533 0.452 0.150
0.548 0.467 0.850
0.660 0.566 0.777
0.673 0.627 0.503
0.794 0.681 0.083
0.916 0.791 0.722
0.000 0.387 0.073
0.055 0.772 0.849
0.061 0.829 0.285
0.074 0.538 0.730
0.129 0.771 0.521
0.148 0.488 0.954
0.156 0.507 0.185
0.157 0.481 0.381
0.171 0.939 0.715
0.228 0.945 0.151
0.229 0.871 0.479
0.233 0.231 0.778
0.252 0.331 0.517
0.252 0.655 0.061
0.345 0.748 0.939
0.462 0.926 0.270
0.493 0.844 0.815
0.510 0.298 0.355
0.512 0.852 0.046
0.519 0.843 0.619
0.599 0.313 0.881
0.613 0.000 0.927
0.630 0.018 0.747
0.632 0.026 0.432
0.633 0.044 0.161
0.669 0.748 0.483
0.687 0.401 0.119
0.701 0.175 0.071
0.702 0.490 0.645
0.718 0.243 0.613
0.757 0.282 0.387
0.769 0.767 0.222
0.825 0.299 0.929
0.956 0.367 0.839
0.974 0.368 0.568
0.982 0.370 0.253
```

=====

Density functional theory data (PBE-GGA) for crystalline SrTeO3 at its relaxed geometry.

Geometry as POSCAR:
```
SrTeO3
1.0
5.994 0.000 0.000
-2.993 14.281 0.000
-2.937 -2.418 26.430
Sr Te O
24 24 72
direct
0.000 0.000 0.000
0.000 0.283 0.694
0.085 0.404 0.836
0.110 0.904 0.336
0.217 0.847 0.638
0.221 0.347 0.139
0.330 0.791 0.942
0.355 0.291 0.441
0.436 0.694 0.278
0.439 0.411 0.584
0.488 0.193 0.776
0.506 0.911 0.083
0.593 0.810 0.429
0.595 0.175 0.062
0.597 0.309 0.928
0.598 0.675 0.563
0.686 0.598 0.889
0.753 0.096 0.388
0.842 0.018 0.715
0.843 0.386 0.350
0.844 0.887 0.849
0.846 0.520 0.216
0.932 0.783 0.194
0.949 0.501 0.501
0.062 0.051 0.139
0.081 0.551 0.639
0.098 0.761 0.498
0.116 0.260 0.999
0.184 0.006 0.466
0.205 0.189 0.312
0.233 0.506 0.966
0.255 0.690 0.812
0.322 0.434 0.278
0.338 0.932 0.779
0.358 0.144 0.638
0.380 0.644 0.138
0.442 0.533 0.431
0.474 0.033 0.931
0.558 0.941 0.254
0.589 0.441 0.755
0.698 0.731 0.712
0.700 0.231 0.212
0.739 0.963 0.565
0.742 0.462 0.065
0.849 0.252 0.523
0.878 0.753 0.024
0.963 0.662 0.347
0.998 0.161 0.847
0.026 0.719 0.850
0.043 0.448 0.082
0.054 0.252 0.358
0.060 0.729 0.565
0.064 0.066 0.325
0.068 0.422 0.648
0.124 0.649 0.173
0.129 0.333 0.515
0.137 0.012 0.795
0.146 0.452 0.426
0.147 0.848 0.027
0.159 0.128 0.451
0.160 0.512 0.312
0.187 0.227 0.065
0.192 0.143 0.695
0.194 0.941 0.912
0.245 0.549 0.582
0.245 0.753 0.365
0.251 0.467 0.212
0.282 0.184 0.965
0.282 0.567 0.824
0.292 0.845 0.249
0.297 0.240 0.852
0.300 0.681 0.483
0.309 0.360 0.763
0.321 0.046 0.106
0.367 0.628 0.952
0.374 0.273 0.632
0.377 0.964 0.713
0.387 0.442 0.920
0.400 0.245 0.194
0.409 0.974 0.427
0.440 0.948 0.582
0.451 0.021 0.001
0.487 0.773 0.131
0.498 0.218 0.351
0.514 0.752 0.859
0.520 0.523 0.501
0.526 0.748 0.651
0.534 0.980 0.321
0.599 0.645 0.195
0.611 0.441 0.413
0.613 0.009 0.813
0.615 0.345 0.026
0.620 0.444 0.127
0.621 0.511 0.294
0.651 0.149 0.674
0.672 0.834 0.015
0.679 0.347 0.528
0.680 0.951 0.926
0.713 0.847 0.526
0.718 0.479 0.821
0.722 0.214 0.456
0.731 0.849 0.751
0.756 0.346 0.749
0.758 0.745 0.353
0.768 0.862 0.263
0.786 0.544 0.604
0.820 0.180 0.983
0.824 0.682 0.465
0.825 0.248 0.151
0.826 0.348 0.251
0.835 0.255 0.866
0.842 0.048 0.082
0.898 0.711 0.957
0.906 0.947 0.627
0.915 0.170 0.777
0.923 0.944 0.420
0.939 0.474 0.927
0.958 0.922 0.147
0.981 0.672 0.277
0.992 0.744 0.693
```

=====

Density functional theory data (PBE-GGA) for crystalline SrTe5O11 at its relaxed geometry.

Geometry as POSCAR:
```
SrTe5O11
1.0
7.132 0.000 0.000
0.000 3.955 0.000
-0.968 0.000 20.742
Sr Te O
2 10 22
direct
0.000 0.000 0.000
0.500 0.500 0.000
0.000 0.000 0.500
0.128 0.500 0.673
0.239 0.500 0.131
0.312 0.000 0.363
0.330 0.000 0.795
0.500 0.500 0.500
0.670 0.000 0.205
0.688 0.000 0.637
0.761 0.500 0.869
0.872 0.500 0.327
0.052 0.000 0.398
0.108 0.500 0.294
0.152 0.000 0.113
0.189 0.500 0.517
0.191 0.500 0.034
0.196 0.000 0.705
0.272 0.500 0.763
0.407 0.000 0.453
0.418 0.500 0.382
0.425 0.000 0.228
0.496 0.500 0.884
0.504 0.500 0.116
0.575 0.000 0.772
0.582 0.500 0.618
0.593 0.000 0.547
0.728 0.500 0.237
0.804 0.000 0.295
0.809 0.500 0.966
0.811 0.500 0.483
0.848 0.000 0.887
0.892 0.500 0.706
0.948 0.000 0.602
```

=====

Density functional theory data (PBE-GGA) for crystalline SrTeO3 at its relaxed geometry.

Geometry as POSCAR:
```
SrTeO3
1.0
5.994 0.000 0.000
-2.993 14.281 0.000
-2.937 -2.418 26.430
Sr Te O
24 24 72
direct
0.000 0.000 0.000
0.000 0.500 0.500
0.110 0.444 0.803
0.136 0.943 0.303
0.219 0.347 0.139
0.220 0.064 0.445
0.269 0.846 0.637
0.288 0.564 0.945
0.374 0.463 0.290
0.376 0.828 0.924
0.376 0.961 0.789
0.377 0.329 0.423
0.467 0.251 0.750
0.533 0.749 0.250
0.623 0.671 0.577
0.624 0.039 0.211
0.624 0.172 0.076
0.626 0.537 0.710
0.712 0.436 0.055
0.731 0.154 0.363
0.780 0.936 0.555
0.781 0.653 0.861
0.864 0.057 0.697
0.890 0.556 0.197
0.014 0.158 0.827
0.035 0.343 0.673
0.103 0.087 0.139
0.119 0.585 0.640
0.139 0.797 0.500
0.157 0.296 0.000
0.222 0.186 0.293
0.256 0.685 0.792
0.339 0.594 0.115
0.371 0.095 0.616
0.477 0.886 0.073
0.479 0.384 0.574
0.521 0.616 0.426
0.523 0.114 0.927
0.629 0.905 0.384
0.661 0.406 0.885
0.744 0.315 0.208
0.778 0.814 0.707
0.843 0.704 0.000
0.861 0.203 0.500
0.881 0.415 0.360
0.897 0.913 0.861
0.965 0.657 0.327
0.986 0.842 0.173
0.025 0.406 0.227
0.026 0.202 0.444
0.033 0.120 0.073
0.060 0.219 0.687
0.062 0.837 0.827
0.073 0.498 0.111
0.073 0.895 0.713
0.081 0.334 0.344
0.090 0.015 0.624
0.102 0.698 0.967
0.154 0.926 0.493
0.155 0.281 0.814
0.159 0.618 0.574
0.167 0.095 0.782
0.176 0.899 0.057
0.193 0.628 0.289
0.227 0.603 0.445
0.238 0.675 0.862
0.261 0.425 0.991
0.280 0.873 0.212
0.297 0.403 0.719
0.301 0.176 0.363
0.307 0.401 0.512
0.315 0.633 0.182
0.377 0.299 0.057
0.392 0.094 0.274
0.393 0.662 0.674
0.396 0.998 0.888
0.401 0.097 0.989
0.401 0.164 0.156
0.433 0.803 0.535
0.452 0.485 0.876
0.461 0.602 0.786
0.463 0.001 0.390
0.488 0.499 0.388
0.497 0.133 0.683
0.503 0.867 0.317
0.512 0.501 0.612
0.537 0.999 0.610
0.539 0.398 0.214
0.548 0.515 0.124
0.567 0.197 0.465
0.599 0.836 0.844
0.599 0.903 0.011
0.604 0.002 0.112
0.607 0.338 0.326
0.608 0.906 0.726
0.623 0.701 0.943
0.685 0.367 0.818
0.693 0.599 0.488
0.699 0.824 0.637
0.703 0.597 0.281
0.720 0.127 0.788
0.739 0.575 0.009
0.762 0.325 0.138
0.773 0.397 0.555
0.807 0.372 0.711
0.824 0.101 0.943
0.833 0.905 0.218
0.841 0.382 0.426
0.845 0.719 0.186
0.846 0.074 0.507
0.898 0.302 0.033
0.910 0.985 0.376
0.919 0.666 0.656
0.927 0.105 0.287
0.927 0.502 0.889
0.938 0.163 0.173
0.940 0.781 0.313
0.967 0.880 0.927
0.974 0.798 0.556
0.975 0.594 0.773
```

=====

Table of formation energy (meV per atom), in record order: -2749; -2379; -2375; -1522; -2377
Table of theoretical density (kg/m3), in record order: 5256; 4638; 4637; 5118; 4637
Table of MP2020-corrected energy (eV per atom), in record order: -6.5394; -6.3146; -6.3104; -5.7471; -6.3126